An optimized crystal structure of Fe5OF11, computed with PBE with a Hubbard U.

```
data_Fe5OF11
_cell_length_a 5.3227
_cell_length_b 5.7356
_cell_length_c 9.3809
_cell_angle_alpha 106.26
_cell_angle_beta 91.05
_cell_angle_gamma 117.40
_symmetry_space_group_name_H-M 'P 1'
_symmetry_Int_Tables_number 1
_symmetry_space_group_name_Hall 'P 1'
loop_
_atom_site_label
_atom_site_type_symbol
_atom_site_fract_x
_atom_site_fract_y
_atom_site_fract_z
Fe1 Fe 0.0000 0.0000 0.0000
Fe2 Fe 0.0239 0.5169 0.5059
Fe3 Fe 0.3082 0.2742 0.6734
Fe4 Fe 0.3519 0.8430 0.1822
Fe5 Fe 0.5449 0.7905 0.7750
O1 O 0.9527 0.9716 0.8060
F1 F 0.0003 0.5089 0.2892
F2 F 0.1323 0.0364 0.1769
F3 F 0.1718 0.5517 0.7009
F4 F 0.2285 0.2826 0.4900
F5 F 0.2635 0.8107 0.9730
F6 F 0.3760 0.3530 0.8768
F7 F 0.4033 0.8733 0.3728
F8 F 0.5976 0.1383 0.6396
F9 F 0.6083 0.6787 0.1109
F10 F 0.7164 0.6368 0.5914
F11 F 0.7474 0.1638 0.0662
```

Results
SG   No. 1
Raw total energy   -4.850 eV/atom
Total moment   23.0 μB/cell
Distance to the lowest polymorph of the same formula   611.4 meV/atom